DFT (PBE with a Hubbard U) results for crystalline YCuMo2O8 at its relaxed geometry.

POSCAR file:
```
YCuMo2O8
1.0
9.883 0.000 0.000
0.000 14.726 0.000
0.000 0.000 10.303
Y Cu Mo O
8 8 16 64
Direct
0.222 0.104 0.034
0.222 0.396 0.534
0.278 0.604 0.034
0.278 0.896 0.534
0.722 0.104 0.466
0.722 0.396 0.966
0.778 0.604 0.466
0.778 0.896 0.966
0.189 0.196 0.682
0.189 0.304 0.182
0.311 0.696 0.682
0.311 0.804 0.182
0.689 0.196 0.818
0.689 0.304 0.318
0.811 0.696 0.818
0.811 0.804 0.318
0.000 0.056 0.719
0.000 0.444 0.219
0.000 0.556 0.781
0.000 0.944 0.281
0.168 0.653 0.397
0.168 0.847 0.897
0.332 0.153 0.397
0.332 0.347 0.897
0.500 0.056 0.781
0.500 0.444 0.281
0.500 0.556 0.719
0.500 0.944 0.219
0.668 0.653 0.103
0.668 0.847 0.603
0.832 0.153 0.103
0.832 0.347 0.603
0.010 0.168 0.087
0.010 0.332 0.587
0.097 0.524 0.129
0.097 0.976 0.629
0.104 0.624 0.887
0.104 0.876 0.387
0.109 0.002 0.171
0.109 0.132 0.820
0.109 0.368 0.320
0.109 0.498 0.671
0.208 0.537 0.426
0.208 0.963 0.926
0.224 0.681 0.233
0.224 0.819 0.733
0.243 0.228 0.511
0.243 0.272 0.011
0.257 0.728 0.511
0.257 0.772 0.011
0.276 0.181 0.233
0.276 0.319 0.733
0.292 0.037 0.426
0.292 0.463 0.926
0.391 0.502 0.171
0.391 0.632 0.820
0.391 0.868 0.320
0.391 0.998 0.671
0.396 0.124 0.887
0.396 0.376 0.387
0.403 0.024 0.129
0.403 0.476 0.629
0.490 0.668 0.087
0.490 0.832 0.587
0.510 0.168 0.413
0.510 0.332 0.913
0.597 0.524 0.371
0.597 0.976 0.871
0.604 0.624 0.613
0.604 0.876 0.113
0.609 0.002 0.329
0.609 0.132 0.680
0.609 0.368 0.180
0.609 0.498 0.829
0.708 0.537 0.074
0.708 0.963 0.574
0.724 0.681 0.267
0.724 0.819 0.767
0.743 0.228 0.989
0.743 0.272 0.489
0.757 0.728 0.989
0.757 0.772 0.489
0.776 0.181 0.267
0.776 0.319 0.767
0.792 0.037 0.074
0.792 0.463 0.574
0.891 0.502 0.329
0.891 0.632 0.680
0.891 0.868 0.180
0.891 0.998 0.829
0.896 0.124 0.613
0.896 0.376 0.113
0.903 0.024 0.371
0.903 0.476 0.871
0.990 0.668 0.413
0.990 0.832 0.913
```

## Properties
SG: Pbca (61)
V: 15.6 Å³/atom
Total energy after the MP2020 corrections: -8.257 eV per atom
Formation enthalpy at 0 K: -2270 meV per atom



DFT (PBE with a Hubbard U) results for crystalline ZnCu2Mo2O8 at its relaxed geometry.

POSCAR file:
```
ZnCu2Mo2O8
1.0
6.597 0.000 0.000
0.000 8.710 0.000
-0.381 0.000 12.628
Zn Cu Mo O
4 8 8 32
Direct
0.108 0.165 0.053
0.108 0.335 0.553
0.892 0.665 0.447
0.892 0.835 0.947
0.231 0.680 0.633
0.231 0.820 0.133
0.378 0.054 0.619
0.378 0.446 0.119
0.622 0.554 0.881
0.622 0.946 0.381
0.769 0.180 0.867
0.769 0.320 0.367
0.099 0.043 0.346
0.099 0.457 0.846
0.389 0.582 0.369
0.389 0.918 0.869
0.611 0.082 0.131
0.611 0.418 0.631
0.901 0.543 0.154
0.901 0.957 0.654
0.040 0.233 0.401
0.040 0.267 0.901
0.084 0.103 0.613
0.084 0.397 0.113
0.121 0.043 0.203
0.121 0.457 0.703
0.179 0.576 0.465
0.179 0.924 0.965
0.306 0.630 0.235
0.306 0.870 0.735
0.341 0.513 0.900
0.341 0.987 0.400
0.406 0.210 0.086
0.406 0.290 0.586
0.495 0.104 0.864
0.495 0.396 0.364
0.505 0.604 0.636
0.505 0.896 0.136
0.594 0.710 0.414
0.594 0.790 0.914
0.659 0.013 0.600
0.659 0.487 0.100
0.694 0.130 0.265
0.694 0.370 0.765
0.821 0.076 0.035
0.821 0.424 0.535
0.879 0.543 0.297
0.879 0.957 0.797
0.916 0.603 0.887
0.916 0.897 0.387
0.960 0.733 0.099
0.960 0.767 0.599
```

## Properties
SG: P2_1/c (14)
V: 14.0 Å³/atom
Total energy after the MP2020 corrections: -7.012 eV per atom
Formation enthalpy at 0 K: -1571 meV per atom



DFT (PBE with a Hubbard U) results for crystalline ZnCuMo2O8 at its relaxed geometry.

POSCAR file:
```
ZnCuMo2O8
1.0
6.919 0.000 0.000
-1.637 8.414 0.000
-2.856 -2.460 9.348
Zn Cu Mo O
3 3 6 24
Direct
0.000 0.000 0.000
0.071 0.222 0.563
0.496 0.404 0.798
0.278 0.803 0.188
0.575 0.811 0.772
0.794 0.418 0.376
0.024 0.818 0.662
0.052 0.405 0.904
0.341 0.509 0.442
0.530 0.120 0.520
0.540 0.106 0.036
0.735 0.714 0.126
0.027 0.987 0.580
0.048 0.236 0.986
0.079 0.378 0.420
0.172 0.597 0.034
0.179 0.381 0.766
0.287 0.824 0.756
0.293 0.664 0.357
0.296 0.996 0.043
0.369 0.000 0.346
0.383 0.259 0.591
0.483 0.607 0.630
0.485 0.239 0.924
0.500 0.404 0.364
0.575 0.821 0.201
0.587 0.991 0.633
0.593 0.618 0.940
0.685 0.967 0.962
0.702 0.220 0.209
0.776 0.230 0.512
0.784 0.560 0.212
0.791 0.397 0.808
0.886 0.839 0.796
0.902 0.629 0.530
0.992 0.849 0.142
```

## Properties
SG: P1 (1)
V: 15.1 Å³/atom
Total energy after the MP2020 corrections: -7.288 eV per atom
Formation enthalpy at 0 K: -1736 meV per atom



DFT (PBE with a Hubbard U) results for crystalline Zn11CuMo12O48 at its relaxed geometry.

POSCAR file:
```
Zn11CuMo12O48
1.0
9.881 0.000 0.000
-0.719 10.320 0.000
-2.310 -5.160 10.688
Zn Cu Mo O
11 1 12 48
Direct
0.000 0.000 0.000
0.035 0.181 0.648
0.088 0.376 0.507
0.146 0.577 0.149
0.389 0.602 0.000
0.500 0.000 0.500
0.534 0.182 0.149
0.587 0.376 0.007
0.642 0.577 0.646
0.889 0.601 0.500
0.947 0.804 0.141
0.450 0.821 0.653
0.151 0.845 0.446
0.172 0.713 0.772
0.248 0.250 0.953
0.286 0.929 0.196
0.363 0.466 0.374
0.386 0.334 0.704
0.648 0.847 0.942
0.672 0.714 0.273
0.749 0.250 0.453
0.786 0.929 0.695
0.862 0.467 0.875
0.886 0.334 0.204
0.049 0.735 0.488
0.053 0.574 0.629
0.081 0.842 0.866
0.103 0.017 0.507
0.103 0.947 0.143
0.105 0.774 0.273
0.146 0.161 0.013
0.188 0.168 0.786
0.200 0.324 0.639
0.230 0.440 0.016
0.232 0.376 0.416
0.257 0.626 0.858
0.278 0.556 0.290
0.302 0.802 0.730
0.305 0.740 0.131
0.337 0.855 0.516
0.346 0.010 0.362
0.388 0.018 0.135
0.431 0.232 0.004
0.431 0.407 0.877
0.433 0.162 0.641
0.454 0.337 0.280
0.484 0.601 0.515
0.485 0.446 0.661
0.550 0.735 0.987
0.553 0.574 0.129
0.580 0.841 0.366
0.597 0.775 0.768
0.602 0.018 0.008
0.603 0.945 0.641
0.646 0.161 0.513
0.689 0.168 0.286
0.700 0.325 0.138
0.730 0.440 0.517
0.732 0.377 0.915
0.757 0.626 0.359
0.777 0.555 0.789
0.802 0.804 0.232
0.806 0.740 0.632
0.832 0.855 0.008
0.845 0.011 0.861
0.888 0.019 0.635
0.930 0.407 0.377
0.931 0.232 0.504
0.932 0.162 0.141
0.954 0.339 0.782
0.981 0.607 0.019
0.984 0.445 0.160
```

## Properties
SG: P1 (1)
V: 15.1 Å³/atom
Total energy after the MP2020 corrections: -7.247 eV per atom
Formation enthalpy at 0 K: -1891 meV per atom



Please write out number 1 again, unchanged.
DFT (PBE with a Hubbard U) results for crystalline YCuMo2O8 at its relaxed geometry.

POSCAR file:
```
YCuMo2O8
1.0
9.883 0.000 0.000
0.000 14.726 0.000
0.000 0.000 10.303
Y Cu Mo O
8 8 16 64
Direct
0.222 0.104 0.034
0.222 0.396 0.534
0.278 0.604 0.034
0.278 0.896 0.534
0.722 0.104 0.466
0.722 0.396 0.966
0.778 0.604 0.466
0.778 0.896 0.966
0.189 0.196 0.682
0.189 0.304 0.182
0.311 0.696 0.682
0.311 0.804 0.182
0.689 0.196 0.818
0.689 0.304 0.318
0.811 0.696 0.818
0.811 0.804 0.318
0.000 0.056 0.719
0.000 0.444 0.219
0.000 0.556 0.781
0.000 0.944 0.281
0.168 0.653 0.397
0.168 0.847 0.897
0.332 0.153 0.397
0.332 0.347 0.897
0.500 0.056 0.781
0.500 0.444 0.281
0.500 0.556 0.719
0.500 0.944 0.219
0.668 0.653 0.103
0.668 0.847 0.603
0.832 0.153 0.103
0.832 0.347 0.603
0.010 0.168 0.087
0.010 0.332 0.587
0.097 0.524 0.129
0.097 0.976 0.629
0.104 0.624 0.887
0.104 0.876 0.387
0.109 0.002 0.171
0.109 0.132 0.820
0.109 0.368 0.320
0.109 0.498 0.671
0.208 0.537 0.426
0.208 0.963 0.926
0.224 0.681 0.233
0.224 0.819 0.733
0.243 0.228 0.511
0.243 0.272 0.011
0.257 0.728 0.511
0.257 0.772 0.011
0.276 0.181 0.233
0.276 0.319 0.733
0.292 0.037 0.426
0.292 0.463 0.926
0.391 0.502 0.171
0.391 0.632 0.820
0.391 0.868 0.320
0.391 0.998 0.671
0.396 0.124 0.887
0.396 0.376 0.387
0.403 0.024 0.129
0.403 0.476 0.629
0.490 0.668 0.087
0.490 0.832 0.587
0.510 0.168 0.413
0.510 0.332 0.913
0.597 0.524 0.371
0.597 0.976 0.871
0.604 0.624 0.613
0.604 0.876 0.113
0.609 0.002 0.329
0.609 0.132 0.680
0.609 0.368 0.180
0.609 0.498 0.829
0.708 0.537 0.074
0.708 0.963 0.574
0.724 0.681 0.267
0.724 0.819 0.767
0.743 0.228 0.989
0.743 0.272 0.489
0.757 0.728 0.989
0.757 0.772 0.489
0.776 0.181 0.267
0.776 0.319 0.767
0.792 0.037 0.074
0.792 0.463 0.574
0.891 0.502 0.329
0.891 0.632 0.680
0.891 0.868 0.180
0.891 0.998 0.829
0.896 0.124 0.613
0.896 0.376 0.113
0.903 0.024 0.371
0.903 0.476 0.871
0.990 0.668 0.413
0.990 0.832 0.913
```

## Properties
SG: Pbca (61)
V: 15.6 Å³/atom
Total energy after the MP2020 corrections: -8.257 eV per atom
Formation enthalpy at 0 K: -2270 meV per atom